Here is a relaxed ZrSCl6O crystal from the Materials Project database. Energies are from GGA-PBE.

- density (Mg/m³) = 2.19
- DFT formation energy (kJ per mole of atoms) = -128.7
- MP2020-corrected energy (Ha/atom) = -0.1663
- M_tot (μB per formula unit) = 0.00

abc: 6.9245 22.3312 7.5743
angles: 90.00 114.21 90.00
Fractional positions:
1 Zr 0.0030 0.0750 0.1567
2 Zr 0.0030 0.4250 0.6567
3 Zr 0.9970 0.5750 0.3433
4 Zr 0.9970 0.9250 0.8433
5 S 0.3751 0.6410 0.8225
6 S 0.3751 0.8590 0.3225
7 S 0.6249 0.1410 0.6775
8 S 0.6249 0.3590 0.1775
9 Cl 0.1856 0.1671 0.1758
10 Cl 0.1856 0.3329 0.6758
11 Cl 0.2024 0.0258 0.9623
12 Cl 0.2024 0.4742 0.4623
13 Cl 0.2147 0.7196 0.8185
14 Cl 0.2147 0.7804 0.3185
15 Cl 0.2399 0.0335 0.4531
16 Cl 0.2399 0.4665 0.9531
17 Cl 0.2583 0.6106 0.2412
18 Cl 0.2583 0.8894 0.7412
19 Cl 0.3979 0.1747 0.7615
20 Cl 0.3979 0.3253 0.2615
21 Cl 0.6021 0.6747 0.7385
22 Cl 0.6021 0.8253 0.2385
23 Cl 0.7417 0.1106 0.2588
24 Cl 0.7417 0.3894 0.7588
25 Cl 0.7601 0.5335 0.0469
26 Cl 0.7601 0.9665 0.5469
27 Cl 0.7853 0.2196 0.6815
28 Cl 0.7853 0.2804 0.1815
29 Cl 0.7976 0.5258 0.5377
30 Cl 0.7976 0.9742 0.0377
31 Cl 0.8144 0.6671 0.3242
32 Cl 0.8144 0.8329 0.8242
33 O 0.2298 0.6043 0.6604
34 O 0.2298 0.8957 0.1604
35 O 0.7702 0.1043 0.8396
36 O 0.7702 0.3957 0.3396

Here is a relaxed SbCl6O2 crystal from the Materials Project database. Energies are from GGA-PBE.

- density (Mg/m³) = 2.49
- DFT formation energy (kJ per mole of atoms) = 1.1
- MP2020-corrected energy (Ha/atom) = -0.1021
- M_tot (μB per formula unit) = 5.00
- distance to the lowest polymorph of the same formula (kcal/mol of atoms) = 9.354

abc: 7.1770 7.1770 12.8580
angles: 110.58 110.58 53.30
Fractional positions:
1 Sb 0.0000 0.0000 0.0000
2 Sb 0.0000 0.0000 0.5000
3 Cl 0.0164 0.2207 0.3956
4 Cl 0.0632 0.6838 0.3388
5 Cl 0.1865 0.5821 0.9328
6 Cl 0.2207 0.0164 0.8956
7 Cl 0.3162 0.9368 0.1612
8 Cl 0.4178 0.8135 0.5672
9 Cl 0.5821 0.1865 0.4328
10 Cl 0.6838 0.0632 0.8388
11 Cl 0.7793 0.9836 0.1044
12 Cl 0.8135 0.4178 0.0672
13 Cl 0.9368 0.3163 0.6612
14 Cl 0.9836 0.7793 0.6044
15 O 0.3701 0.4738 0.6788
16 O 0.4738 0.3701 0.1788
17 O 0.5262 0.6299 0.8212
18 O 0.6299 0.5262 0.3212

Here is a relaxed Sb4ClO6 crystal from the Materials Project database. Energies are from GGA-PBE.

- density (Mg/m³) = 5.06
- DFT formation energy (kJ per mole of atoms) = -152.5
- MP2020-corrected energy (Ha/atom) = -0.2186
- M_tot (μB per formula unit) = 0.24

abc: 9.8282 9.8282 10.9814
angles: 110.82 110.82 24.24
Fractional positions:
1 Sb 0.0015 0.0015 0.2884
2 Sb 0.1925 0.1925 0.3468
3 Sb 0.2335 0.2335 0.8207
4 Sb 0.4228 0.4228 0.0282
5 Sb 0.5772 0.5772 0.9718
6 Sb 0.7665 0.7665 0.1793
7 Sb 0.8075 0.8075 0.6532
8 Sb 0.9985 0.9985 0.7116
9 Cl 0.3865 0.3865 0.5025
10 Cl 0.6135 0.6135 0.4975
11 O 0.0665 0.0665 0.9157
12 O 0.0858 0.0858 0.2252
13 O 0.2351 0.2351 0.2005
14 O 0.2972 0.2972 0.7071
15 O 0.3155 0.3155 0.9985
16 O 0.4680 0.4680 0.2228
17 O 0.5320 0.5320 0.7772
18 O 0.6845 0.6845 0.0015
19 O 0.7028 0.7028 0.2929
20 O 0.7649 0.7649 0.7995
21 O 0.9142 0.9142 0.7748
22 O 0.9335 0.9335 0.0843

Here is a relaxed Sb3ClO4 crystal from the Materials Project database. Energies are from GGA-PBE.

- density (Mg/m³) = 5.05
- DFT formation energy (kJ per mole of atoms) = -157.5
- MP2020-corrected energy (Ha/atom) = -0.2163

abc: 9.6762 5.5265 5.7341
angles: 90.00 95.09 90.00
Fractional positions:
1 Sb 0.0000 0.1732 0.2500
2 Sb 0.0000 0.8268 0.7500
3 Sb 0.2929 0.3045 0.6983
4 Sb 0.2929 0.6955 0.1983
5 Sb 0.7071 0.3045 0.8017
6 Sb 0.7071 0.6955 0.3017
7 Cl 0.5000 0.2899 0.2500
8 Cl 0.5000 0.7101 0.7500
9 O 0.1200 0.0844 0.6012
10 O 0.1200 0.9156 0.1012
11 O 0.2019 0.4744 0.9522
12 O 0.2019 0.5256 0.4522
13 O 0.7981 0.4744 0.5478
14 O 0.7981 0.5256 0.0478
15 O 0.8800 0.0844 0.8988
16 O 0.8800 0.9156 0.3988

Here is a relaxed SbCl6O2 crystal from the Materials Project database. Energies are from GGA-PBE.

- density (Mg/m³) = 2.21
- DFT formation energy (kJ per mole of atoms) = -38.0
- MP2020-corrected energy (Ha/atom) = -0.1170
- M_tot (μB per formula unit) = 1.67
- distance to the lowest polymorph of the same formula (kcal/mol of atoms) = 0.000

abc: 7.2355 7.2355 7.2355
angles: 123.05 110.43 96.06
Fractional positions:
1 Sb 0.0000 0.0000 0.0000
2 Cl 0.1780 0.4211 0.2431
3 Cl 0.1780 0.9348 0.7569
4 Cl 0.2921 0.0000 0.2921
5 Cl 0.7079 0.0000 0.7079
6 Cl 0.8220 0.0652 0.2431
7 Cl 0.8220 0.5789 0.7569
8 O 0.4263 0.5000 0.9263
9 O 0.5737 0.5000 0.0737

Here is a relaxed SbCl6O3 crystal from the Materials Project database. Energies are from GGA-PBE.

- density (Mg/m³) = 2.23
- DFT formation energy (kJ per mole of atoms) = -17.7
- M_tot (μB per formula unit) = 1.00

abc: 7.1164 12.3897 12.9540
angles: 90.00 93.99 90.00
Fractional positions:
1 Sb 0.2007 0.1322 0.3042
2 Sb 0.2007 0.3678 0.8042
3 Sb 0.7993 0.6322 0.1958
4 Sb 0.7993 0.8678 0.6958
5 Cl 0.0194 0.2057 0.7748
6 Cl 0.0194 0.2943 0.2748
7 Cl 0.0757 0.5408 0.1452
8 Cl 0.0757 0.9592 0.6452
9 Cl 0.1232 0.0761 0.1282
10 Cl 0.1232 0.4239 0.6282
11 Cl 0.2749 0.1881 0.4801
12 Cl 0.2749 0.3119 0.9801
13 Cl 0.3849 0.5275 0.8364
14 Cl 0.3849 0.9725 0.3364
15 Cl 0.4723 0.2272 0.2502
16 Cl 0.4723 0.2728 0.7502
17 Cl 0.5277 0.7272 0.2498
18 Cl 0.5277 0.7728 0.7498
19 Cl 0.6151 0.0275 0.6636
20 Cl 0.6151 0.4725 0.1636
21 Cl 0.7251 0.6881 0.0199
22 Cl 0.7251 0.8119 0.5199
23 Cl 0.8768 0.5761 0.3718
24 Cl 0.8768 0.9239 0.8718
25 Cl 0.9243 0.0408 0.3548
26 Cl 0.9243 0.4592 0.8548
27 Cl 0.9806 0.7057 0.7252
28 Cl 0.9806 0.7943 0.2252
29 O 0.2757 0.7032 0.4624
30 O 0.2757 0.7968 0.9624
31 O 0.3470 0.5421 0.4050
32 O 0.3467 0.6098 0.4802
33 O 0.3467 0.8902 0.9802
34 O 0.3470 0.9579 0.9050
35 O 0.6530 0.0421 0.0950
36 O 0.6533 0.1098 0.0198
37 O 0.6533 0.3902 0.5198
38 O 0.6530 0.4579 0.5950
39 O 0.7243 0.2032 0.0376
40 O 0.7243 0.2968 0.5376

no.,VASP energy (eV/cell)
1,-160.17
2,-47.28
3,-122.64
4,-88.68
5,-28.34
6,-127.58